1.
Material: Cu2H5C3N3O5
Method: DFT, PBE-GGA
State: optimized geometry

a = 7.9322 Å, b = 7.9322 Å, c = 6.4489 Å
α = 98.12°, β = 98.12°, γ = 99.05°
Last column: nearest neighbours and their distance in Å.
Atoms (fractional coordinates):
Cu 0.0404 0.7132 0.8141  1 N 1.87, 1 O 1.90
Cu 0.2868 0.9596 0.6859  1 N 1.87, 1 O 1.90
Cu 0.7132 0.0404 0.3141  1 N 1.87, 1 O 1.90
Cu 0.9596 0.2868 0.1859  1 N 1.87, 1 O 1.90
H 0.0921 0.1654 0.4678  1 O 0.98
H 0.1654 0.0921 0.9678  1 O 0.98
H 0.2485 0.2918 0.4174  1 O 1.01
H 0.2918 0.2485 0.9174  1 O 1.01
H 0.4907 0.5093 0.2500  1 N 1.02
H 0.5093 0.4907 0.7500  1 N 1.02
H 0.7082 0.7515 0.0826  1 O 1.01
H 0.7515 0.7082 0.5826  1 O 1.01
H 0.8346 0.9079 0.0322  1 O 0.98
H 0.9079 0.8346 0.5322  1 O 0.98
C 0.1831 0.8169 0.2500  1 O 1.26, 2 N 1.39
C 0.2885 0.5822 0.0674  1 O 1.26, 2 N 1.36-1.38
C 0.4178 0.7115 0.4326  1 O 1.26, 2 N 1.36-1.38
C 0.5822 0.2885 0.5674  1 O 1.26, 2 N 1.36-1.38
C 0.7115 0.4178 0.9326  1 O 1.26, 2 N 1.36-1.38
C 0.8169 0.1831 0.7500  1 O 1.26, 2 N 1.39
N 0.1844 0.7034 0.0662  2 C 1.36-1.39
N 0.2966 0.8156 0.4338  2 C 1.36-1.39
N 0.4062 0.5938 0.2500  1 H 1.02
N 0.5938 0.4062 0.7500  1 H 1.02
N 0.7034 0.1844 0.5662  2 C 1.36-1.39
N 0.8156 0.2966 0.9338  2 C 1.36-1.39
O 0.0790 0.9210 0.2500  1 C 1.26
O 0.1223 0.2807 0.4292  2 H 0.98-1.01
O 0.2807 0.1223 0.9292  2 H 0.98-1.01
O 0.2814 0.4654 0.9116  1 C 1.26
O 0.4654 0.2814 0.4116  1 C 1.26
O 0.5346 0.7186 0.5884  1 C 1.26
O 0.7186 0.5346 0.0884  1 C 1.26
O 0.7193 0.8777 0.0708  2 H 0.98-1.01
O 0.8777 0.7193 0.5708  2 H 0.98-1.01
O 0.9210 0.0790 0.7500  1 C 1.26

## Properties
E: -6.3284 eV/atom
Spin magnetization: 0.0 μB/f.u.
Total energy after the MP2020 corrections: -6.52 eV per atom

2.
Material: MgTi3SiS5O24
Method: DFT, PBE-GGA
State: optimized geometry

a = 8.6432 Å, b = 8.6465 Å, c = 22.2558 Å
α = 89.84°, β = 89.66°, γ = 60.04°
Last column: nearest neighbours and their distance in Å.
Atoms (fractional coordinates):
Mg 0.0000 0.0000 0.0000  6 O 1.91-2.13
Mg 0.0037 0.9944 0.4977  6 O 2.03-2.05
Mg 0.3369 0.3284 0.6665  6 O 2.04-2.05
Ti 0.0030 0.9904 0.2808  3 O 1.78-1.96
Ti 0.0094 0.0060 0.7883  1 O 1.75
Ti 0.3290 0.3294 0.9517  3 O 1.79-1.99
Ti 0.3386 0.3301 0.4536  6 O 1.93-2.02
Ti 0.3480 0.3282 0.1691  3 O 1.80-1.94
Ti 0.6588 0.6697 0.3274  2 O 1.79-1.80
Ti 0.6608 0.6756 0.1198  3 O 1.81-1.96
Ti 0.6731 0.6616 0.6169  6 O 1.93-2.04
Ti 0.6794 0.6553 0.8342  3 O 1.75-1.96
Si 0.0040 0.2798 0.8962  4 O 1.55-1.69
Si 0.3856 0.6626 0.2249  4 O 1.62-1.63
Si 0.6700 0.9459 0.2243  4 O 1.61-1.63
S 0.0035 0.7053 0.3936  4 O 1.45-1.53
S 0.0508 0.6133 0.0593  4 O 1.45-1.52
S 0.0517 0.3266 0.5604  4 O 1.45-1.53
S 0.2924 0.7070 0.8925  4 O 1.45-1.50
S 0.2923 0.9956 0.3943  4 O 1.45-1.52
S 0.3366 0.0428 0.0592  4 O 1.45-1.51
S 0.3373 0.6157 0.5606  4 O 1.45-1.52
S 0.3861 0.9448 0.7255  4 O 1.45-1.51
S 0.6244 0.3282 0.0590  4 O 1.45-1.51
S 0.6252 0.0419 0.5604  4 O 1.45-1.53
S 0.6714 0.3757 0.7257  4 O 1.45-1.50
S 0.7170 0.9955 0.8926  4 O 1.45-1.50
S 0.7180 0.2838 0.3941  4 O 1.45-1.53
S 0.9553 0.6647 0.7255  4 O 1.45-1.51
S 0.9563 0.3765 0.2252  4 O 1.47-1.49
O 0.0231 0.1775 0.5506  1 S 1.45
O 0.0333 0.7877 0.0513  1 S 1.45
O 0.0360 0.1561 0.8339  1 Si 1.69, 1 Ti 1.75
O 0.0379 0.7843 0.3394  1 S 1.48
O 0.1292 0.5058 0.7186  1 S 1.45
O 0.1343 0.3601 0.5057  1 S 1.51
O 0.1350 0.3546 0.2172  1 S 1.47
O 0.1409 0.4989 0.0043  1 S 1.52
O 0.1550 0.3062 0.6137  1 S 1.45
O 0.1600 0.5249 0.1126  1 S 1.47
O 0.1702 0.5230 0.4025  1 S 1.53
O 0.1789 0.7885 0.8380  1 S 1.50
O 0.1797 0.3057 0.9023  1 Si 1.65, 1 Ti 1.79
O 0.1838 0.0276 0.3401  1 S 1.47
O 0.1851 0.0162 0.0533  1 S 1.45
O 0.1873 0.7926 0.5504  1 S 1.45
O 0.1933 0.8395 0.2375  1 Si 1.62, 1 Ti 1.78
O 0.2082 0.9535 0.7321  1 S 1.51
O 0.2140 0.9662 0.4478  1 S 1.45
O 0.2173 0.8131 0.9462  1 S 1.45
O 0.3147 0.1579 0.4029  1 S 1.52
O 0.3150 0.5324 0.6139  1 S 1.45
O 0.3158 0.1505 0.1128  1 S 1.47
O 0.3177 0.5247 0.8989  1 S 1.49
O 0.3549 0.4947 0.2154  1 Si 1.62, 1 Ti 1.80
O 0.3618 0.1223 0.7182  1 S 1.45
O 0.3656 0.1282 0.0045  1 S 1.50
O 0.3701 0.4996 0.5060  1 S 1.51
O 0.4723 0.6861 0.8809  1 S 1.49
O 0.4719 0.8313 0.6710  1 S 1.50
O 0.4752 0.8388 0.3863  1 S 1.49
O 0.4801 0.6927 0.1663  1 Si 1.62, 1 Ti 1.81
O 0.4929 0.8589 0.7791  1 S 1.47
O 0.4944 0.1391 0.2151  1 Si 1.61, 1 Ti 1.81
O 0.5058 0.6283 0.5675  1 S 1.52
O 0.5064 0.8652 0.0636  1 S 1.51
O 0.5089 0.6268 0.2844  1 Si 1.63, 1 Ti 1.80
O 0.5100 0.1244 0.5060  1 S 1.50
O 0.5111 0.3566 0.0055  1 S 1.49
O 0.5152 0.3564 0.7189  1 S 1.45
O 0.5307 0.3101 0.1135  1 S 1.51
O 0.5333 0.3038 0.4031  1 S 1.53
O 0.5389 0.1574 0.8995  1 S 1.48
O 0.5427 0.1458 0.6140  1 S 1.45
O 0.6388 0.8597 0.5675  1 S 1.53
O 0.6416 0.4890 0.0665  1 S 1.48
O 0.6437 0.8514 0.2840  1 Si 1.63, 1 Ti 1.79
O 0.6487 0.4861 0.7793  1 S 1.48
O 0.6863 0.8425 0.8804  1 S 1.50
O 0.6921 0.4642 0.3855  1 S 1.47
O 0.7032 0.4591 0.6714  1 S 1.50
O 0.7096 0.8190 0.1658  1 Si 1.63, 1 Ti 1.82
O 0.7948 0.1735 0.3398  1 S 1.48
O 0.7961 0.1659 0.0556  1 S 1.45
O 0.8032 0.0130 0.5504  1 S 1.45
O 0.8032 0.0214 0.8380  1 S 1.50
O 0.8236 0.2035 0.4476  1 S 1.45
O 0.8255 0.9548 0.9460  1 S 1.45
O 0.8350 0.1962 0.7331  1 S 1.50
O 0.8385 0.4802 0.8784  1 Si 1.65, 1 Ti 1.75
O 0.8402 0.6906 0.6714  1 S 1.51
O 0.8400 0.9732 0.2374  1 Si 1.63, 1 Ti 1.78
O 0.8455 0.4527 0.1715  1 S 1.47
O 0.8536 0.6728 0.3842  1 S 1.47
O 0.8656 0.6408 0.7791  1 S 1.49
O 0.8697 0.4954 0.5675  1 S 1.53
O 0.8761 0.6210 0.0646  1 S 1.48
O 0.8768 0.4860 0.2800  1 S 1.48
O 0.9644 0.1993 0.9525  1 Si 1.55
O 0.9674 0.8272 0.7334  1 S 1.47
O 0.9742 0.8129 0.4470  1 S 1.45
O 0.9750 0.1982 0.2356  1 S 1.49

## Properties
E: -7.0048 eV/atom
Spin magnetization: 0.0 μB/f.u.
Total energy after the MP2020 corrections: -7.49 eV per atom